K2S | PBE-GGA | optimized geometry

a = 5.3027 Å, b = 5.3027 Å, c = 7.2939 Å
α = 90.00°, β = 90.00°, γ = 120.00°
Space group P6_3/mmc (No. 194)
Inequivalent atoms, fractional coordinates:
K 0.0000 0.0000 0.0000 (multiplicity 2)
K 0.3333 0.6667 0.2500 (multiplicity 2)
S 0.3333 0.6667 0.7500 (multiplicity 2)

* formation enthalpy at 0 K: -329 kJ/mol of formula units
* final energy: -3.087 eV/atom